Here is a relaxed Ca2HN crystal from the Materials Project database. Energies are from PBE.

extended XYZ file:
```
16
Lattice="0.000 5.060 5.060 5.060 0.000 5.060 5.060 5.060 0.000" Properties=species:S:1:pos:R:3 pbc="T T T"
Ca 7.711 4.938 4.938
Ca 2.408 2.408 2.408
Ca 5.181 5.181 2.408
Ca 5.181 2.408 5.181
Ca 4.938 7.711 4.938
Ca 4.938 4.938 7.711
Ca 7.711 7.711 7.711
Ca 2.408 5.181 5.181
H 5.060 2.530 2.530
H 2.530 5.060 2.530
H 2.530 2.530 5.060
H 5.060 5.060 5.060
N 0.000 0.000 0.000
N 2.530 2.530 0.000
N 2.530 0.000 2.530
N 0.000 2.530 2.530
```

Values from the calculation:
DFT formation energy	-84.7	kJ/mol of atoms
density	2.440	g/cm3
raw total energy	-18.9	eV per formula unit